[1]
Compound: Hf2N2O
Source: Materials Project
Functional: PBE-GGA
Structure: optimized geometry

```
Hf2N2O
1.0
-2.735 -6.495 -5.113
1.428 -3.064 8.050
-6.119 6.243 0.292
Hf N O
16 16 8
Cartesian
-6.208 3.886 1.250
-8.091 -1.777 -0.867
-5.086 -3.368 4.186
-4.703 1.672 3.258
-1.896 -4.325 3.629
-1.252 0.463 2.147
-1.408 -3.351 -2.461
-4.488 -2.540 -1.500
-3.737 -1.614 1.538
-3.029 -0.806 4.748
-4.247 -6.441 3.057
-5.554 0.996 -0.475
-6.119 -3.733 1.058
-2.419 0.075 -0.880
-2.652 -4.938 -0.024
-1.277 -7.194 2.006
-0.286 -3.136 2.911
-3.299 0.152 2.786
-5.183 -1.931 -3.435
-1.779 -1.164 0.767
-0.975 -3.694 -0.466
-6.460 -3.156 -1.037
-2.247 -1.307 6.649
-5.678 -2.178 2.472
-3.236 -4.224 -2.051
-4.258 -4.897 -4.723
-6.196 1.280 -2.510
-4.146 -3.487 0.517
-2.683 -5.454 2.064
-8.189 -0.870 -2.764
-4.332 -0.759 -0.285
-7.167 -0.227 0.307
-3.034 -2.546 3.520
0.739 -2.465 5.992
-4.697 2.169 1.204
-1.158 -4.552 5.674
-4.208 0.924 5.300
-3.205 1.532 7.897
-6.417 0.382 3.712
-0.987 -0.219 4.299
```

Properties
Space-group type: P1 (1)
Final energy (eV/atom): -10.555
Calculated volume (Å³ per cell): 513
E_form (eV per atom): -2.39



[2]
Compound: Hf2N2O
Source: Materials Project
Functional: PBE-GGA
Structure: optimized geometry

```
Hf2N2O
1.0
-7.534 -2.658 3.496
0.248 -2.234 -8.431
6.648 -3.794 4.202
Hf N O
16 16 8
Cartesian
-0.406 -4.379 -0.317
1.725 -3.987 -3.643
-5.549 -3.988 2.602
-1.741 -3.826 -3.346
-1.926 -1.465 -0.899
-0.646 -6.858 -2.519
0.001 -1.836 1.788
3.538 -4.806 -0.334
-0.667 -7.489 3.460
-4.135 -3.863 -0.449
3.493 -4.089 -6.366
-3.529 -3.569 -6.675
1.221 -7.284 0.187
1.009 -4.889 2.637
4.992 -4.665 -3.328
-2.270 -4.709 2.927
-0.725 -6.458 -0.366
-2.133 -3.611 -1.282
-3.877 -5.965 -0.809
-3.346 -3.206 -4.533
0.877 -5.662 6.508
1.600 -1.981 -2.880
3.257 -2.767 0.099
-0.541 -5.470 3.981
-2.199 -5.819 -3.663
-2.270 -6.766 2.167
-5.560 -5.570 -3.718
-1.489 -3.017 -7.281
2.727 -5.422 3.814
-5.606 -3.314 -1.871
1.554 -2.855 2.984
-0.750 -3.861 1.670
0.110 -2.221 -0.393
0.131 -4.831 -2.453
2.902 -5.194 -2.387
1.522 -5.029 0.494
-0.125 -3.251 -4.681
-3.605 -3.477 1.703
4.937 -3.173 2.934
4.975 -5.323 1.144
```

Properties
Space-group type: P1 (1)
Final energy (eV/atom): -10.553
Calculated volume (Å³ per cell): 512
E_form (eV per atom): -2.38



[3]
Compound: Hf2N2O
Source: Materials Project
Functional: PBE-GGA
Structure: optimized geometry

```
Hf2N2O
1.0
5.441 -0.049 0.045
-2.693 1.635 4.881
2.763 -4.786 0.000
Hf N O
4 4 2
Cartesian
-0.116 0.052 2.098
2.739 -1.681 0.356
2.742 -1.726 4.561
5.432 -3.173 2.819
1.977 -3.346 3.600
3.539 0.150 1.182
3.891 -3.176 1.257
4.714 -1.428 3.720
0.893 -1.687 1.288
1.741 0.018 3.751
```

Properties
Space-group type: Cc (9)
Final energy (eV/atom): -10.486
Calculated volume (Å³ per cell): 127
E_form (eV per atom): -2.32



[4]
Compound: Hf2N2O
Source: Materials Project
Functional: PBE-GGA
Structure: optimized geometry

```
Hf2N2O
1.0
-6.295 6.035 0.411
-2.365 -6.987 4.669
7.412 3.287 3.246
Hf N O
16 16 8
Cartesian
-1.781 -4.625 5.407
-7.428 2.487 2.801
-6.384 -0.821 4.112
0.193 -1.949 4.954
-2.940 -1.096 4.704
3.804 -2.493 6.039
-2.547 7.609 2.095
4.179 6.280 3.467
-0.638 1.259 4.210
-3.766 1.977 3.238
2.458 0.467 5.071
1.739 3.406 3.721
-5.008 4.784 2.199
-1.384 4.275 3.348
5.003 3.143 4.197
0.538 6.937 2.882
-1.809 -2.783 4.304
1.934 -1.419 6.068
1.858 0.672 1.125
-1.130 -0.374 5.571
-0.101 2.701 2.710
-5.526 3.044 3.568
0.161 0.625 8.013
3.410 1.847 3.760
-3.098 1.700 7.262
-2.202 2.608 4.591
-3.161 3.783 2.225
1.033 2.072 5.228
-1.265 5.956 2.019
-0.426 3.919 6.978
0.528 5.125 4.048
3.413 4.585 4.448
-4.611 -2.237 3.842
-0.862 -1.557 1.376
0.011 -3.615 6.259
-2.274 0.209 3.088
0.955 -0.273 3.723
-1.400 1.724 0.332
-4.631 0.416 4.523
4.271 -0.673 4.765
```

Properties
Space-group type: P1 (1)
Final energy (eV/atom): -10.559
Calculated volume (Å³ per cell): 513
E_form (eV per atom): -2.39



[5]
Compound: Hf2N2O
Source: Materials Project
Functional: PBE-GGA
Structure: optimized geometry

```
Hf2N2O
1.0
2.730 4.751 0.000
-2.730 4.751 0.000
0.000 0.018 14.612
Hf N O
12 12 6
Cartesian
2.720 4.746 9.395
-2.720 4.737 2.089
-0.002 6.452 11.834
0.012 6.434 7.657
0.002 6.442 4.528
-0.012 6.425 0.351
0.012 3.096 14.261
-0.002 3.078 10.084
-0.012 3.087 6.955
0.002 3.069 2.778
2.720 4.784 12.523
-2.720 4.775 5.217
-0.786 1.416 10.987
0.786 1.407 3.681
-1.605 6.308 13.410
1.605 6.299 6.104
0.831 1.785 8.543
-0.831 1.776 1.237
0.831 7.745 13.375
-0.831 7.736 6.069
-1.605 3.222 8.509
1.605 3.213 1.203
-0.786 8.114 10.931
0.786 8.105 3.625
0.846 4.868 13.415
-0.846 4.859 6.109
0.846 4.662 8.504
-0.846 4.653 1.198
-1.030 4.765 10.959
1.030 4.756 3.653
```

Properties
Space-group type: C2/c (15)
Final energy (eV/atom): -10.483
Calculated volume (Å³ per cell): 379
E_form (eV per atom): -2.31



[6]
Compound: Hf2N2O
Source: Materials Project
Functional: PBE-GGA
Structure: optimized geometry

```
Hf2N2O
1.0
6.376 4.427 3.999
-7.108 -0.039 5.064
2.611 -8.217 -1.446
Hf N O
16 16 8
Cartesian
4.971 2.443 4.755
5.806 -5.933 0.604
1.901 1.106 4.775
6.727 -2.716 2.197
-0.693 3.041 6.960
4.200 -1.095 3.691
5.359 -3.723 5.117
1.377 -4.122 -0.624
0.848 -1.981 3.795
3.073 -3.853 2.112
-1.170 -0.062 5.434
2.564 -6.791 0.719
-2.267 -2.746 3.976
-4.826 -1.175 5.337
-0.046 -4.874 2.773
-3.058 -6.316 2.837
3.799 1.003 3.719
0.196 0.121 3.849
4.819 -3.110 3.099
0.464 -2.219 -0.132
-2.904 -0.660 4.479
-0.591 -2.826 2.542
1.413 -1.649 7.723
4.091 -5.695 1.841
1.699 -3.944 3.769
3.506 -3.921 6.092
1.416 -5.110 1.213
-0.663 -2.140 5.271
-1.277 -6.103 1.488
0.107 -4.658 6.525
-1.927 -4.879 3.933
-4.019 -3.172 5.130
5.874 -0.597 2.487
1.795 0.807 1.093
3.093 2.295 6.101
0.446 1.251 6.376
2.532 -1.622 2.369
-1.608 0.045 1.562
2.463 -1.004 5.058
-2.179 1.835 5.793
```

Properties
Space-group type: P1 (1)
Final energy (eV/atom): -10.558
Calculated volume (Å³ per cell): 513
E_form (eV per atom): -2.39



[7]
Compound: Hf2N2O
Source: Materials Project
Functional: PBE-GGA
Structure: optimized geometry

```
Hf2N2O
1.0
-0.993 1.629 8.518
-6.216 -5.534 -2.638
7.846 -3.570 -1.404
Hf N O
16 16 8
Cartesian
0.151 -1.386 3.046
-0.013 -0.083 -0.033
-3.568 -2.037 2.925
-0.239 -2.973 6.431
1.930 -3.879 4.170
5.702 -2.611 0.923
5.362 -3.675 4.040
1.834 -2.604 0.583
-3.399 -3.298 6.019
4.107 -4.216 -1.493
-1.291 -4.784 3.957
-4.645 -3.719 0.396
-2.725 -6.447 0.848
-5.066 -4.828 3.567
-1.369 -3.568 0.316
0.442 -6.209 1.408
2.101 -2.395 2.628
2.645 -5.713 -2.245
-1.857 -0.831 3.566
-4.151 -6.187 -2.789
4.786 -1.311 7.257
-3.019 -4.843 -0.452
-0.050 -3.030 4.325
2.481 -6.620 0.904
-0.980 0.996 6.458
-1.992 -1.751 6.701
-3.018 -2.365 0.903
-0.646 -6.116 -2.362
-0.149 -1.922 1.006
-0.909 -7.321 0.234
-3.177 -3.855 3.870
-1.392 -5.094 1.851
3.793 -3.590 0.580
0.841 -5.541 3.507
1.498 -0.176 4.266
1.323 -1.364 6.882
3.639 -5.046 3.583
1.602 -8.432 -1.944
3.602 -2.660 4.952
0.729 -4.437 0.143
```

Properties
Space-group type: P1 (1)
Final energy (eV/atom): -10.557
Calculated volume (Å³ per cell): 513
E_form (eV per atom): -2.39



[8]
Compound: Hf2N2O
Source: Materials Project
Functional: PBE-GGA
Structure: optimized geometry

```
Hf2N2O
1.0
8.712 0.000 0.000
-2.881 8.245 0.000
-2.906 -4.118 7.134
Hf N O
16 16 8
Cartesian
0.238 3.011 5.630
2.933 4.005 0.061
2.739 4.250 3.758
-2.666 1.948 6.837
0.214 3.405 1.717
6.069 -0.735 1.850
2.881 4.033 7.114
5.623 -0.888 5.091
-2.724 4.981 2.064
2.917 -1.941 3.626
-2.814 2.130 3.536
-3.045 4.836 5.356
2.673 0.762 5.364
5.631 2.249 0.203
0.198 -0.230 3.309
2.687 1.154 1.520
2.169 6.240 3.203
-1.884 0.164 3.657
-2.163 -0.213 6.888
-0.758 7.883 0.101
-1.855 3.059 5.189
-1.852 2.941 1.873
3.628 -3.808 7.054
3.561 -1.290 5.504
2.426 2.872 5.412
2.401 0.071 3.324
5.219 6.960 1.622
5.034 4.396 0.237
4.792 3.980 3.500
0.771 -2.152 3.892
0.636 -2.058 6.817
2.382 3.259 1.951
0.489 0.860 5.198
2.284 6.189 0.297
-2.274 -2.783 5.536
0.466 4.069 3.814
0.500 1.287 1.675
-0.571 5.417 1.640
4.778 1.184 5.284
4.771 1.036 1.968
```

Properties
Space-group type: P1 (1)
Final energy (eV/atom): -10.557
Calculated volume (Å³ per cell): 512
E_form (eV per atom): -2.39



[9]
Compound: Hf2N2O
Source: Materials Project
Functional: PBE-GGA
Structure: optimized geometry

```
Hf2N2O
1.0
-1.080 6.311 -5.858
0.418 -7.703 -4.122
-6.770 0.008 5.551
Hf N O
16 16 8
Cartesian
-0.868 2.463 -7.815
-2.239 -2.393 -4.598
-6.717 -0.052 3.011
-3.158 -3.991 -1.795
-2.350 4.176 -5.398
-7.303 3.150 2.631
-3.722 -0.649 -2.294
-2.341 0.972 -4.681
-1.590 -6.126 -3.875
-3.464 -0.036 2.743
-5.151 -2.248 0.235
-5.814 4.692 -0.544
-5.054 -5.582 0.982
-0.705 -1.339 -7.481
-4.313 2.543 -2.579
-5.188 1.007 0.161
-2.433 2.146 -6.471
-4.890 -4.256 -0.648
-3.896 -2.612 -3.251
-1.834 -0.260 1.247
-0.603 1.639 -1.390
-1.818 -0.703 -3.334
-5.594 -1.126 -5.683
-3.319 -5.911 -2.557
-5.606 -0.704 -1.143
-3.496 1.188 -1.158
-6.829 -3.004 -3.036
-2.520 2.904 -3.743
-4.240 0.695 -3.834
-5.142 -0.691 1.646
-4.069 4.547 -1.883
-5.957 2.568 -1.059
-7.437 0.473 -3.071
-0.466 -2.783 -5.819
-0.025 -1.828 -1.357
-1.437 -3.945 -3.436
-3.208 -2.041 -0.557
-2.248 -0.741 -6.066
-5.056 -3.547 2.017
-6.952 1.432 1.414
```

Properties
Space-group type: P1 (1)
Final energy (eV/atom): -10.553
Calculated volume (Å³ per cell): 513
E_form (eV per atom): -2.38



[10]
Compound: Hf2N2O
Source: Materials Project
Functional: PBE-GGA
Structure: optimized geometry

```
Hf2N2O
1.0
8.693 0.000 0.000
-2.897 8.236 0.000
-2.920 -4.100 7.151
Hf N O
16 16 8
Cartesian
7.192 -1.968 3.574
-1.216 3.916 3.321
4.499 3.338 1.800
1.631 -0.671 1.781
4.053 6.336 0.247
-1.310 0.977 2.034
1.628 -1.128 5.608
4.167 3.179 5.109
-4.293 -0.041 7.113
1.442 8.224 0.013
1.292 5.236 1.521
1.406 2.031 3.496
-1.199 -2.189 6.916
-1.661 0.732 5.361
1.219 4.904 5.369
4.134 0.188 3.881
3.368 5.154 1.940
-3.607 3.909 6.904
3.761 2.070 0.313
0.921 4.205 3.367
6.585 2.882 1.650
-0.459 -1.059 5.181
1.938 -0.050 3.798
0.787 1.302 1.629
3.839 -1.283 5.491
6.510 0.214 0.222
-0.842 2.088 6.830
0.691 3.774 0.129
-3.755 1.307 5.540
3.586 2.191 3.271
-0.716 2.002 3.926
6.184 -0.169 3.440
6.196 -2.973 5.218
-3.288 7.015 1.904
-1.003 4.965 5.206
-3.295 4.295 3.745
2.121 2.819 5.567
2.174 0.402 6.987
3.823 -0.841 1.927
-0.970 5.428 1.689
```

Properties
Space-group type: P1 (1)
Final energy (eV/atom): -10.551
Calculated volume (Å³ per cell): 512
E_form (eV per atom): -2.38